(1)
## LiPr2Ge6 (GGA-PBE)

Data for a geometry-optimized LiPr2Ge6 structure.

Unit cell a=4.1483 b=21.6457 c=4.2979 alpha=90.00 beta=90.00 gamma=90.00
Space group Cmmm (No. 65)
Symmetry-distinct sites (fractional):
Li 0.0000 0.0000 0.0000 (multiplicity 2)
Pr 0.0000 0.1664 0.0000 (multiplicity 4)
Ge 0.0000 0.0613 0.5000 (multiplicity 4)
Ge 0.0000 0.2872 0.5000 (multiplicity 4)
Ge 0.0000 0.4388 0.0000 (multiplicity 4)

## Properties
E_tot: -4.7800 eV/atom



(2)
## BaBi3 (GGA-PBE)

Data for a geometry-optimized BaBi3 structure.

Unit cell a=5.1770 b=5.1770 c=5.1770 alpha=90.00 beta=90.00 gamma=90.00
Space group Pm-3m (No. 221)
Symmetry-distinct sites (fractional):
Ba 0.0000 0.0000 0.0000 (multiplicity 1)
Bi 0.0000 0.5000 0.5000 (multiplicity 3)

## Properties
E_tot: -3.8581 eV/atom



(3)
## Sr2SmSbO6 (GGA-PBE)

Data for a geometry-optimized Sr2SmSbO6 structure.

Unit cell a=8.5026 b=8.5026 c=8.5026 alpha=90.00 beta=90.00 gamma=90.00
Space group Fm-3m (No. 225)
Symmetry-distinct sites (fractional):
Sr 0.2500 0.2500 0.2500 (multiplicity 8)
Sm 0.0000 0.0000 0.0000 (multiplicity 4)
Sb 0.0000 0.0000 0.5000 (multiplicity 4)
O 0.0000 0.0000 0.2654 (multiplicity 24)

## Properties
E_tot: -6.7686 eV/atom



(4)
## CaReBi (GGA-PBE)

Data for a geometry-optimized CaReBi structure.

Unit cell a=6.7567 b=6.7567 c=6.7567 alpha=90.00 beta=90.00 gamma=90.00
Space group F-43m (No. 216)
Symmetry-distinct sites (fractional):
Ca 0.0000 0.0000 0.0000 (multiplicity 4)
Re 0.2500 0.2500 0.2500 (multiplicity 4)
Bi 0.0000 0.0000 0.5000 (multiplicity 4)

## Properties
E_tot: -5.3631 eV/atom



(5)
## Sr2Mg (GGA-PBE)

Data for a geometry-optimized Sr2Mg structure.

Unit cell a=8.8732 b=8.8732 c=6.7614 alpha=90.00 beta=90.00 gamma=90.00
Space group I4/mcm (No. 140)
Symmetry-distinct sites (fractional):
Sr 0.1653 0.3347 0.0000 (multiplicity 8)
Mg 0.0000 0.0000 0.2500 (multiplicity 4)

## Properties
E_tot: -1.6738 eV/atom



(6)
## Nd2PdO4 (GGA-PBE)

Data for a geometry-optimized Nd2PdO4 structure.

Unit cell a=9.9289 b=9.9289 c=9.9289 alpha=90.00 beta=90.00 gamma=90.00
Space group Fd-3m (No. 227, origin choice 2)
Symmetry-distinct sites (fractional):
Nd 0.0000 0.0000 0.0000 (multiplicity 16)
Pd 0.1250 0.1250 0.6250 (multiplicity 8)
O 0.0093 0.0093 0.2407 (multiplicity 32)

## Properties
Energy relative to the lowest polymorph listed for this composition: 0.701 eV per formula unit
E_tot: -7.0079 eV/atom



Here are the calculated ΔH_f (0 K) numbers, same order: -0.423, -0.461, -2.989, 0.750, -0.014, -2.471 (eV/atom).